Record 1
# Ba2TiFeO6

A geometry-optimized Ba2TiFeO6 structure (PBE with a Hubbard U, the Materials Project database). Values from VASP.

## Properties
* space group: P3m1 (156)
* energy of formation: -2.82 eV per atom

```
&SYSTEM
  ibrav = 0, nat = 30, ntyp = 4
/
ATOMIC_SPECIES
O 16.00 O.upf
Fe 55.84 Fe.upf
Ti 47.87 Ti.upf
Ba 137.33 Ba.upf
ATOMIC_POSITIONS crystal
O 0.833 0.665 0.083
O 0.518 0.482 0.253
O 0.964 0.482 0.253
O 0.164 0.328 0.580
O 0.484 0.969 0.748
O 0.672 0.836 0.580
O 0.164 0.836 0.580
O 0.518 0.036 0.253
O 0.031 0.516 0.748
O 0.331 0.165 0.420
O 0.835 0.669 0.420
O 0.163 0.325 0.923
O 0.675 0.837 0.923
O 0.833 0.167 0.083
O 0.163 0.837 0.923
O 0.835 0.165 0.420
O 0.335 0.167 0.083
O 0.484 0.516 0.748
Fe 0.333 0.667 0.655
Fe 0.667 0.333 0.345
Fe 0.333 0.667 0.846
Ti 0.000 0.000 0.994
Ti 0.000 0.000 0.500
Ti 0.667 0.333 0.150
Ba 0.333 0.667 0.091
Ba 0.667 0.333 0.591
Ba 0.667 0.333 0.906
Ba 0.000 0.000 0.747
Ba 0.333 0.667 0.408
Ba 0.000 0.000 0.252
CELL_PARAMETERS angstrom
0.000 -1.033 -5.669
-3.931 -2.508 3.385
-8.747 11.003 -2.005
```

---

Record 2
# NaLi2VF6

A geometry-optimized NaLi2VF6 structure (PBE with a Hubbard U, the Materials Project database). Values from VASP.

## Properties
* space group: Fm-3m (225)
* energy of formation: -2.83 eV per atom

```
&SYSTEM
  ibrav = 0, nat = 10, ntyp = 4
/
ATOMIC_SPECIES
F 19.00 F.upf
Li 6.94 Li.upf
V 50.94 V.upf
Na 22.99 Na.upf
ATOMIC_POSITIONS crystal
F 0.236 0.236 0.764
F 0.764 0.236 0.764
F 0.236 0.764 0.764
F 0.764 0.764 0.236
F 0.236 0.764 0.236
F 0.764 0.236 0.236
Li 0.750 0.750 0.750
Li 0.250 0.250 0.250
V 0.000 0.000 0.000
Na 0.500 0.500 0.500
CELL_PARAMETERS angstrom
5.793 0.000 0.000
2.896 5.017 0.000
2.896 1.672 4.730
```

---

Record 3
# Li8MnNi7P12O48

A geometry-optimized Li8MnNi7P12O48 structure (PBE with a Hubbard U, the Materials Project database). Values from VASP.

## Properties
* space group: P1 (1)
* energy of formation: -2.19 eV per atom

```
&SYSTEM
  ibrav = 0, nat = 76, ntyp = 5
/
ATOMIC_SPECIES
P 30.97 P.upf
O 16.00 O.upf
Li 6.94 Li.upf
Ni 58.69 Ni.upf
Mn 54.94 Mn.upf
ATOMIC_POSITIONS crystal
P 0.895 0.109 0.147
P 0.537 0.750 0.002
P 0.463 0.251 0.999
P 0.894 0.391 0.852
P 0.395 0.114 0.355
P 0.042 0.746 0.500
P 0.393 0.392 0.643
P 0.605 0.890 0.648
P 0.602 0.605 0.354
P 0.965 0.251 0.499
P 0.107 0.607 0.154
P 0.105 0.891 0.852
O 0.335 0.236 0.677
O 0.560 0.356 0.069
O 0.852 0.334 0.577
O 0.157 0.553 0.041
O 0.060 0.145 0.569
O 0.442 0.859 0.070
O 0.150 0.939 0.967
O 0.857 0.167 0.420
O 0.350 0.334 0.921
O 0.664 0.734 0.679
O 0.570 0.394 0.651
O 0.832 0.513 0.773
O 0.428 0.893 0.657
O 0.058 0.364 0.427
O 0.930 0.607 0.159
O 0.665 0.486 0.274
O 0.165 0.734 0.821
O 0.649 0.832 0.922
O 0.571 0.115 0.345
O 0.849 0.439 0.967
O 0.150 0.832 0.576
O 0.346 0.435 0.525
O 0.666 0.013 0.726
O 0.347 0.064 0.469
O 0.421 0.600 0.344
O 0.837 0.234 0.820
O 0.153 0.658 0.420
O 0.653 0.560 0.466
O 0.927 0.893 0.843
O 0.650 0.765 0.320
O 0.073 0.394 0.844
O 0.169 0.764 0.182
O 0.849 0.062 0.032
O 0.836 0.265 0.179
O 0.943 0.847 0.427
O 0.948 0.638 0.570
O 0.328 0.997 0.275
O 0.559 0.144 0.930
O 0.653 0.668 0.079
O 0.332 0.274 0.325
O 0.830 0.986 0.226
O 0.173 0.485 0.236
O 0.441 0.640 0.934
O 0.329 0.514 0.720
O 0.651 0.939 0.533
O 0.350 0.167 0.078
O 0.073 0.108 0.155
O 0.166 0.015 0.773
Li 0.783 0.721 0.813
Li 0.219 0.224 0.814
Li 0.287 0.784 0.315
Li 0.720 0.277 0.314
Li 0.281 0.723 0.685
Li 0.715 0.224 0.685
Li 0.217 0.279 0.183
Li 0.783 0.776 0.190
Ni 0.748 0.538 0.614
Ni 0.747 0.962 0.386
Ni 0.252 0.039 0.617
Ni 0.246 0.962 0.114
Ni 0.248 0.538 0.886
Ni 0.754 0.463 0.116
Ni 0.754 0.037 0.884
Mn 0.247 0.462 0.389
CELL_PARAMETERS angstrom
8.694 0.000 0.000
0.006 8.848 0.000
0.017 0.032 12.316
```

---

Record 4
# Li13Mn21O48

A geometry-optimized Li13Mn21O48 structure (PBE with a Hubbard U, the Materials Project database). Values from VASP.

## Properties
* space group: Cm (8)
* energy of formation: -2.01 eV per atom

```
&SYSTEM
  ibrav = 0, nat = 82, ntyp = 3
/
ATOMIC_SPECIES
O 16.00 O.upf
Mn 54.94 Mn.upf
Li 6.94 Li.upf
ATOMIC_POSITIONS crystal
O 0.475 0.012 0.882
O 0.350 0.791 0.044
O 0.167 0.167 0.952
O 0.124 0.688 0.210
O 0.013 0.013 0.382
O 0.687 0.130 0.711
O 0.983 0.983 0.123
O 0.500 0.500 0.382
O 0.483 0.483 0.119
O 0.648 0.205 0.957
O 0.167 0.167 0.214
O 0.348 0.348 0.544
O 0.538 0.984 0.123
O 0.541 0.000 0.626
O 0.984 0.538 0.123
O 0.203 0.646 0.456
O 0.687 0.687 0.710
O 0.834 0.834 0.785
O 0.860 0.321 0.284
O 0.334 0.793 0.541
O 0.167 0.167 0.714
O 0.646 0.203 0.456
O 0.353 0.353 0.044
O 0.985 0.985 0.623
O 0.500 0.500 0.882
O 0.490 0.490 0.618
O 0.321 0.860 0.284
O 0.013 0.013 0.882
O 0.166 0.166 0.452
O 0.791 0.350 0.044
O 0.646 0.646 0.457
O 0.320 0.320 0.785
O 0.833 0.833 0.285
O 0.319 0.319 0.285
O 0.843 0.843 0.549
O 0.860 0.322 0.784
O 0.011 0.473 0.382
O 0.688 0.124 0.210
O 0.689 0.689 0.210
O 0.793 0.334 0.541
O 0.012 0.475 0.882
O 0.000 0.541 0.626
O 0.322 0.860 0.784
O 0.473 0.011 0.382
O 0.847 0.847 0.047
O 0.130 0.687 0.711
O 0.647 0.647 0.957
O 0.205 0.648 0.957
Mn 0.497 0.003 0.750
Mn 0.002 0.002 0.750
Mn 0.667 0.167 0.583
Mn 0.167 0.667 0.583
Mn 0.834 0.834 0.168
Mn 0.666 0.666 0.084
Mn 0.665 0.168 0.083
Mn 0.002 0.002 0.250
Mn 0.496 0.002 0.250
Mn 0.330 0.836 0.417
Mn 0.833 0.833 0.665
Mn 0.331 0.331 0.917
Mn 0.003 0.497 0.750
Mn 0.331 0.839 0.917
Mn 0.836 0.330 0.417
Mn 0.168 0.665 0.083
Mn 0.002 0.496 0.250
Mn 0.839 0.331 0.917
Mn 0.331 0.331 0.417
Mn 0.500 0.500 0.502
Mn 0.500 0.500 0.001
Li 0.169 0.169 0.145
Li 0.159 0.159 0.523
Li 0.500 0.500 0.809
Li 0.175 0.175 0.644
Li 0.834 0.834 0.857
Li 0.833 0.833 0.358
Li 0.498 0.498 0.685
Li 0.167 0.167 0.833
Li 0.667 0.667 0.583
Li 0.500 0.500 0.308
Li 0.836 0.836 0.482
Li 0.166 0.166 0.333
Li 0.835 0.835 0.979
CELL_PARAMETERS angstrom
1.971 -5.509 -0.465
2.291 -2.735 4.661
-26.016 -9.930 7.000
```

---

Record 5
# TaZn2NiO6

A geometry-optimized TaZn2NiO6 structure (PBE with a Hubbard U, the Materials Project database). Values from VASP.

## Properties
* space group: P2_1/m (11)
* energy of formation: -2.00 eV per atom

```
&SYSTEM
  ibrav = 0, nat = 20, ntyp = 4
/
ATOMIC_SPECIES
Ta 180.95 Ta.upf
O 16.00 O.upf
Zn 65.41 Zn.upf
Ni 58.69 Ni.upf
ATOMIC_POSITIONS crystal
Ta 0.000 0.000 0.500
Ta 0.500 0.000 0.500
O 0.569 0.692 0.324
O 0.931 0.692 0.324
O 0.063 0.180 0.177
O 0.250 0.871 0.549
O 0.750 0.129 0.451
O 0.750 0.373 0.926
O 0.431 0.308 0.676
O 0.937 0.820 0.823
O 0.250 0.627 0.074
O 0.437 0.180 0.177
O 0.563 0.820 0.823
O 0.069 0.308 0.676
Zn 0.250 0.495 0.447
Zn 0.250 0.012 0.969
Zn 0.750 0.988 0.031
Zn 0.750 0.505 0.553
Ni 0.000 0.500 0.000
Ni 0.500 0.500 0.000
CELL_PARAMETERS angstrom
-6.078 4.516 0.227
-2.690 -3.741 2.409
1.418 1.661 4.920
```

---

Record 6
# LiFe4B4O12

A geometry-optimized LiFe4B4O12 structure (PBE with a Hubbard U, the Materials Project database). Values from VASP.

## Properties
* space group: P1 (1)
* energy of formation: -2.23 eV per atom
* offset from the most stable computed form: 0.05 eV/f.u.

```
&SYSTEM
  ibrav = 0, nat = 42, ntyp = 4
/
ATOMIC_SPECIES
O 16.00 O.upf
Fe 55.84 Fe.upf
Li 6.94 Li.upf
B 10.81 B.upf
ATOMIC_POSITIONS crystal
O 0.754 0.870 0.566
O 0.225 0.133 0.406
O 0.593 0.001 0.326
O 0.574 0.365 0.839
O 0.076 0.501 0.315
O 0.093 0.857 0.870
O 0.778 0.130 0.599
O 0.326 0.616 0.632
O 0.913 0.500 0.666
O 0.715 0.371 0.399
O 0.730 0.706 0.818
O 0.751 0.632 0.428
O 0.931 0.135 0.150
O 0.675 0.935 0.929
O 0.293 0.299 0.161
O 0.777 0.793 0.175
O 0.412 0.640 0.131
O 0.186 0.879 0.362
O 0.272 0.363 0.584
O 0.166 0.438 0.925
O 0.341 0.062 0.068
O 0.416 0.994 0.676
O 0.826 0.563 0.064
O 0.213 0.201 0.832
Fe 0.676 0.990 0.121
Fe 0.162 0.153 0.618
Fe 0.830 0.509 0.871
Fe 0.671 0.670 0.622
Fe 0.836 0.831 0.372
Fe 0.165 0.493 0.125
Fe 0.332 0.344 0.374
Fe 0.337 0.006 0.868
Li 0.842 0.176 0.349
Li 0.657 0.328 0.632
B 0.322 0.333 0.866
B 0.840 0.834 0.872
B 0.330 0.003 0.366
B 0.175 0.494 0.627
B 0.184 0.166 0.125
B 0.653 0.001 0.615
B 0.843 0.499 0.379
B 0.664 0.664 0.123
CELL_PARAMETERS angstrom
-1.007 3.833 -3.374
-2.159 -6.304 -6.377
-9.659 0.197 3.278
```

---

Record 7
# LiV8F33

A geometry-optimized LiV8F33 structure (PBE with a Hubbard U, the Materials Project database). Values from VASP.

## Properties
* space group: Cc (9)
* energy of formation: -2.96 eV per atom
* offset from the most stable computed form: 1.17 eV/f.u.

```
&SYSTEM
  ibrav = 0, nat = 84, ntyp = 3
/
ATOMIC_SPECIES
F 19.00 F.upf
V 50.94 V.upf
Li 6.94 Li.upf
ATOMIC_POSITIONS crystal
F 0.068 0.198 0.432
F 0.405 0.866 0.581
F 0.134 0.539 0.581
F 0.137 0.213 0.198
F 0.734 0.204 0.195
F 0.200 0.128 0.546
F 0.548 0.749 0.929
F 0.250 0.797 0.930
F 0.600 0.799 0.314
F 0.871 0.069 0.546
F 0.131 0.270 0.810
F 0.213 0.138 0.698
F 0.076 0.864 0.198
F 0.525 0.122 0.929
F 0.863 0.076 0.698
F 0.203 0.734 0.695
F 0.787 0.925 0.198
F 0.877 0.402 0.928
F 0.540 0.135 0.081
F 0.121 0.593 0.194
F 0.269 0.131 0.310
F 0.200 0.801 0.314
F 0.199 0.400 0.314
F 0.402 0.877 0.429
F 0.924 0.788 0.698
F 0.197 0.066 0.932
F 0.408 0.530 0.194
F 0.130 0.933 0.432
F 0.930 0.471 0.314
F 0.266 0.470 0.695
F 0.529 0.408 0.694
F 0.879 0.471 0.694
F 0.202 0.452 0.929
F 0.750 0.547 0.430
F 0.471 0.879 0.194
F 0.930 0.800 0.546
F 0.070 0.871 0.046
F 0.598 0.474 0.929
F 0.529 0.460 0.315
F 0.540 0.069 0.315
F 0.870 0.803 0.932
F 0.129 0.199 0.046
F 0.798 0.250 0.429
F 0.460 0.529 0.815
F 0.070 0.541 0.814
F 0.531 0.797 0.695
F 0.400 0.199 0.814
F 0.469 0.266 0.195
F 0.471 0.930 0.815
F 0.800 0.601 0.814
F 0.800 0.928 0.046
F 0.861 0.730 0.310
F 0.139 0.869 0.810
F 0.595 0.461 0.081
F 0.452 0.201 0.429
F 0.475 0.597 0.429
F 0.797 0.531 0.195
F 0.932 0.130 0.932
F 0.123 0.525 0.428
F 0.869 0.139 0.310
F 0.460 0.595 0.581
F 0.801 0.201 0.814
F 0.592 0.122 0.694
F 0.803 0.870 0.432
F 0.731 0.861 0.810
F 0.866 0.405 0.081
V 0.000 0.000 0.501
V 0.667 0.334 0.127
V 0.343 0.005 0.378
V 0.672 0.008 0.749
V 0.000 0.000 0.001
V 0.333 0.667 0.627
V 0.328 0.336 0.249
V 0.665 0.992 0.249
V 0.008 0.674 0.248
V 0.006 0.342 0.878
V 0.657 0.663 0.878
V 0.336 0.993 0.878
V 0.994 0.336 0.378
V 0.335 0.327 0.749
V 0.992 0.665 0.748
V 0.664 0.657 0.378
Li 0.667 0.335 0.579
Li 0.333 0.667 0.079
CELL_PARAMETERS angstrom
8.772 -0.001 -0.007
-4.387 7.599 0.013
-0.014 0.024 18.543
```

---

What is the formula in the third record?
Li8MnNi7P12O48

---

Which value of energy of formation does entry 2 give?
-2.83 eV per atom

---

energy of formation of number 2 (NaLi2VF6)?
-2.83 eV per atom